1.
HfBeO3: optimized geometry, PBE-GGA.

Unit cell a=3.4383 b=3.4383 c=3.4383 alpha=90.00 beta=90.00 gamma=90.00
Closest atoms and distances in Å follow each position.
Fractional positions:
Hf  0.0000  0.0000  0.0000  12 O 2.43
Be  0.5000  0.5000  0.5000  6 O 1.72
O  0.5000  0.5000  0.0000  2 Be 1.72
O  0.5000  0.0000  0.5000  2 Be 1.72
O  0.0000  0.5000  0.5000  2 Be 1.72

The calculated density is 9.62 g/cm3. The value obtained for the total energy after the MP2020 corrections is -8.595 eV per atom. As for the final energy: -8.183 eV/atom. As for the space group: Pm-3m (221).


2.
InSn2Cl5: optimized geometry, PBE-GGA.

Unit cell a=8.0779 b=8.8564 c=12.5857 alpha=89.42 beta=90.00 gamma=90.00
Closest atoms and distances in Å follow each position.
Fractional positions:
In  0.0227  0.4978  0.3286  7 Cl 3.12-3.44
In  0.9773  0.5022  0.6714  7 Cl 3.12-3.44
In  0.5227  0.5022  0.1714  7 Cl 3.12-3.44
In  0.4773  0.4978  0.8286  7 Cl 3.12-3.44
Sn  0.9907  0.9984  0.3273  5 Cl 2.78-2.97
Sn  0.0093  0.0016  0.6727  5 Cl 2.78-2.97
Sn  0.4907  0.0016  0.1727  5 Cl 2.78-2.97
Sn  0.5093  0.9984  0.8273  5 Cl 2.78-2.97
Sn  0.0588  0.2516  0.0067  6 Cl 2.79-3.07
Sn  0.9412  0.7484  0.9933  6 Cl 2.79-3.07
Sn  0.5588  0.7484  0.4933  6 Cl 2.79-3.07
Sn  0.4412  0.2516  0.5067  6 Cl 2.79-3.07
Cl  0.1632  0.5406  0.0848  2 Sn 2.81-2.88, 1 In 3.12
Cl  0.8368  0.4594  0.9152  2 Sn 2.81-2.88, 1 In 3.12
Cl  0.6632  0.4594  0.4152  2 Sn 2.81-2.88, 1 In 3.12
Cl  0.3368  0.5406  0.5848  2 Sn 2.81-2.88, 1 In 3.12
Cl  0.8534  0.2248  0.1844  2 Sn 2.79-2.90
Cl  0.1466  0.7752  0.8156  2 Sn 2.79-2.90
Cl  0.3534  0.7752  0.3156  2 Sn 2.79-2.90
Cl  0.6466  0.2248  0.6844  2 Sn 2.79-2.90
Cl  0.3159  0.2265  0.2774  2 Sn 2.78-3.07
Cl  0.6841  0.7735  0.7226  2 Sn 2.78-3.07
Cl  0.8159  0.7735  0.2226  2 Sn 2.78-3.07
Cl  0.1841  0.2265  0.7774  2 Sn 2.78-3.07
Cl  0.4594  0.2163  0.0028  2 Sn 2.86-2.97
Cl  0.5406  0.7837  0.9972  2 Sn 2.86-2.97
Cl  0.9594  0.7837  0.4972  2 Sn 2.86-2.97
Cl  0.0406  0.2163  0.5028  2 Sn 2.86-2.97
Cl  0.6680  0.0465  0.4026  3 Sn 2.81-3.00
Cl  0.3320  0.9535  0.5974  3 Sn 2.81-3.00
Cl  0.1680  0.9535  0.0974  3 Sn 2.81-3.00
Cl  0.8320  0.0465  0.9026  3 Sn 2.81-3.00

The calculated density is 3.91 g/cm3. The value obtained for the total energy after the MP2020 corrections is -3.833 eV per atom. As for the final energy: -3.449 eV/atom. As for the space group: P2_1/c (14).


3.
ZrN2F6: optimized geometry, PBE-GGA.

Unit cell a=6.5877 b=12.9091 c=17.8258 alpha=90.00 beta=90.00 gamma=90.00
Closest atoms and distances in Å follow each position.
Fractional positions:
Zr  0.5242  0.0060  0.6704  4 F 1.92-2.14
Zr  0.4758  0.5060  0.3296  4 F 1.92-2.14
Zr  0.5242  0.5060  0.8296  4 F 1.92-2.14
Zr  0.4758  0.0060  0.1704  4 F 1.92-2.14
Zr  0.9503  0.9960  0.5822  4 F 1.92-2.13
Zr  0.0497  0.4960  0.4178  4 F 1.92-2.13
Zr  0.9503  0.4960  0.9178  4 F 1.92-2.13
Zr  0.0497  0.9960  0.0822  4 F 1.92-2.13
N  0.1254  0.6553  0.6630  1 F 1.35
N  0.8746  0.1553  0.3370  1 F 1.35
N  0.1254  0.1553  0.8370  1 F 1.35
N  0.8746  0.6553  0.1630  1 F 1.35
N  0.6919  0.3573  0.5515  1 F 1.34
N  0.3081  0.8573  0.4485  1 F 1.34
N  0.6919  0.8573  0.9485  1 F 1.34
N  0.3081  0.3573  0.0515  1 F 1.34
N  0.2419  0.3102  0.6638  1 F 1.34
N  0.7581  0.8102  0.3362  1 F 1.34
N  0.2419  0.8102  0.8362  1 F 1.34
N  0.7581  0.3102  0.1638  1 F 1.34
N  0.6440  0.6779  0.5766  1 F 1.35
N  0.3560  0.1779  0.4234  1 F 1.35
N  0.6440  0.1779  0.9234  1 F 1.35
N  0.3560  0.6779  0.0766  1 F 1.35
F  0.2349  0.0489  0.6247  2 Zr 2.13-2.14
F  0.7651  0.5489  0.3753  2 Zr 2.13-2.14
F  0.2349  0.5489  0.8753  2 Zr 2.13-2.14
F  0.7651  0.0489  0.1247  2 Zr 2.13-2.14
F  0.4667  0.1365  0.4793  1 N 1.35
F  0.5333  0.6365  0.5207  1 N 1.35
F  0.4667  0.6365  0.0207  1 N 1.35
F  0.5333  0.1365  0.9793  1 N 1.35
F  0.4955  0.0842  0.7612  1 Zr 1.92
F  0.5045  0.5842  0.2388  1 Zr 1.92
F  0.4955  0.5842  0.7388  1 Zr 1.92
F  0.5045  0.0842  0.2612  1 Zr 1.92
F  0.4128  0.8719  0.6913  1 Zr 1.92
F  0.5872  0.3719  0.3087  1 Zr 1.92
F  0.4128  0.3719  0.8087  1 Zr 1.92
F  0.5872  0.8719  0.1913  1 Zr 1.92
F  0.3445  0.8967  0.8530  1 N 1.34
F  0.6555  0.3967  0.1470  1 N 1.34
F  0.3445  0.3967  0.6470  1 N 1.34
F  0.6555  0.8967  0.3530  1 N 1.34
F  0.6461  0.9523  0.5621  2 Zr 2.11-2.20
F  0.3539  0.4523  0.4379  2 Zr 2.11-2.20
F  0.6461  0.4523  0.9379  2 Zr 2.11-2.20
F  0.3539  0.9523  0.0621  2 Zr 2.11-2.20
F  0.7501  0.1154  0.6252  2 Zr 2.17-2.20
F  0.2499  0.6154  0.3748  2 Zr 2.17-2.20
F  0.7501  0.6154  0.8748  2 Zr 2.17-2.20
F  0.2499  0.1154  0.1252  2 Zr 2.17-2.20
F  0.8152  0.9494  0.6926  2 Zr 2.09-2.24
F  0.1848  0.4494  0.3074  2 Zr 2.09-2.24
F  0.8152  0.4494  0.8074  2 Zr 2.09-2.24
F  0.1848  0.9494  0.1926  2 Zr 2.09-2.24
F  0.1481  0.8456  0.4029  1 N 1.34
F  0.8519  0.3456  0.5971  1 N 1.34
F  0.1481  0.3456  0.0971  1 N 1.34
F  0.8519  0.8456  0.9029  1 N 1.34
F  0.9927  0.0505  0.4832  1 Zr 1.92
F  0.0073  0.5505  0.5168  1 Zr 1.92
F  0.9927  0.5505  0.0168  1 Zr 1.92
F  0.0073  0.0505  0.9832  1 Zr 1.92
F  0.0391  0.8550  0.5753  1 Zr 1.92
F  0.9609  0.3550  0.4247  1 Zr 1.92
F  0.0391  0.3550  0.9247  1 Zr 1.92
F  0.9609  0.8550  0.0753  1 Zr 1.92
F  0.0125  0.0944  0.7918  1 N 1.35
F  0.9875  0.5944  0.2082  1 N 1.35
F  0.0125  0.5944  0.7082  1 N 1.35
F  0.9875  0.0944  0.2918  1 N 1.35

The calculated density is 2.04 g/cm3. The value obtained for the total energy after the MP2020 corrections is -5.817 eV per atom. As for the final energy: -5.509 eV/atom. As for the space group: Pca2_1 (29).


4.
OsN: optimized geometry, PBE-GGA.

Unit cell a=4.0648 b=4.0648 c=4.0648 alpha=90.00 beta=90.00 gamma=90.00
Closest atoms and distances in Å follow each position.
Fractional positions:
Os  0.5000  0.5000  0.0000  4 N 2.03
Os  0.5000  0.0000  0.5000  4 N 2.03
Os  0.0000  0.5000  0.5000  4 N 2.03
N  0.0000  0.0000  0.5000  4 Os 2.03
N  0.0000  0.5000  0.0000  4 Os 2.03
N  0.5000  0.0000  0.0000  4 Os 2.03

The calculated density is 15.15 g/cm3. Its distance to the lowest polymorph of the same formula is 233 meV per atom. The value obtained for the total energy after the MP2020 corrections is -9.309 eV per atom. As for the final energy: -9.129 eV/atom. As for the space group: Pm-3m (221).


5.
Rb3MgNbO8: optimized geometry, PBE-GGA.

Unit cell a=6.9214 b=7.2807 c=5.9702 alpha=98.52 beta=110.69 gamma=117.52
Closest atoms and distances in Å follow each position.
Fractional positions:
Rb  0.0000  0.4646  0.5081  2 O 2.58-2.79
Rb  0.4130  0.7550  0.2379  6 O 2.82-3.14
Rb  0.5870  0.3420  0.8249  6 O 2.82-3.14
Mg  0.0000  0.9264  0.5544  5 O 1.92-2.13
Nb  0.0000  0.9806  0.0541  5 O 1.93-2.11
O  0.2502  0.9528  0.9088  1 O 1.51
O  0.0000  0.1130  0.3589  1 Mg 1.92, 1 Nb 1.93
O  0.0000  0.2570  0.0215  1 O 1.47
O  0.7498  0.7026  0.6586  1 O 1.51
O  0.6221  0.7777  0.7713  1 O 1.51
O  0.0000  0.1830  0.7789  1 O 1.47
O  0.0000  0.7697  0.2334  1 Nb 2.00, 1 Mg 2.08
O  0.3779  0.1556  0.1492  1 O 1.51

The calculated density is 3.60 g/cm3. Its distance to the lowest polymorph of the same formula is 187 meV per atom. The value obtained for the total energy after the MP2020 corrections is -5.773 eV per atom. As for the final energy: -5.674 eV/atom. As for the space group: Cm (8).


6.
SrPd3O4: optimized geometry, PBE-GGA.

Unit cell a=5.9234 b=5.9234 c=5.9234 alpha=90.00 beta=90.00 gamma=90.00
Closest atoms and distances in Å follow each position.
Fractional positions:
Sr  0.5000  0.5000  0.5000  8 O 2.56
Sr  0.0000  0.0000  0.0000  8 O 2.56
Pd  0.7500  0.0000  0.5000  4 O 2.09
Pd  0.0000  0.5000  0.2500  4 O 2.09
Pd  0.0000  0.5000  0.7500  4 O 2.09
Pd  0.2500  0.0000  0.5000  4 O 2.09
Pd  0.5000  0.7500  0.0000  4 O 2.09
Pd  0.5000  0.2500  0.0000  4 O 2.09
O  0.7500  0.2500  0.2500  3 Pd 2.09
O  0.2500  0.2500  0.7500  3 Pd 2.09
O  0.2500  0.7500  0.2500  3 Pd 2.09
O  0.7500  0.7500  0.7500  3 Pd 2.09
O  0.2500  0.2500  0.2500  3 Pd 2.09
O  0.7500  0.7500  0.2500  3 Pd 2.09
O  0.7500  0.2500  0.7500  3 Pd 2.09
O  0.2500  0.7500  0.7500  3 Pd 2.09

The calculated density is 7.52 g/cm3. The value obtained for the total energy after the MP2020 corrections is -6.107 eV per atom. As for the final energy: -5.763 eV/atom. As for the space group: Pm-3n (223).


7.
Ag5BS4: optimized geometry, PBE-GGA.

Unit cell a=8.1967 b=8.1967 c=8.1967 alpha=60.00 beta=60.00 gamma=60.00
Closest atoms and distances in Å follow each position.
Fractional positions:
Ag  0.2213  0.2213  0.7787  4 S 2.60-2.64, 2 Ag 2.77
Ag  0.7787  0.7787  0.2213  4 S 2.60-2.64, 2 Ag 2.77
Ag  0.2213  0.7787  0.2213  4 S 2.60-2.64, 2 Ag 2.77
Ag  0.7787  0.2213  0.7787  4 S 2.60-2.64, 2 Ag 2.77
Ag  0.7787  0.2213  0.2213  4 S 2.60-2.64, 2 Ag 2.77
Ag  0.2213  0.7787  0.7787  4 S 2.60-2.64, 2 Ag 2.77
Ag  0.5084  0.1639  0.1639  6 Ag 2.77-2.82, 3 S 2.95
Ag  0.1639  0.5084  0.1639  6 Ag 2.77-2.82, 3 S 2.95
Ag  0.1639  0.1639  0.5084  6 Ag 2.77-2.82, 3 S 2.95
Ag  0.1639  0.1639  0.1639  6 Ag 2.77-2.82, 3 S 2.95
B  0.7500  0.7500  0.7500  4 S 1.99
B  0.5000  0.5000  0.5000  4 S 1.99
S  0.4526  0.8491  0.8491  1 B 1.99
S  0.8491  0.4526  0.8491  1 B 1.99
S  0.8491  0.8491  0.4526  1 B 1.99
S  0.8491  0.8491  0.8491  1 B 1.99
S  0.7968  0.4011  0.4011  1 B 1.99
S  0.4011  0.7968  0.4011  1 B 1.99
S  0.4011  0.4011  0.7968  1 B 1.99
S  0.4011  0.4011  0.4011  1 B 1.99

The calculated density is 5.79 g/cm3. The value obtained for the total energy after the MP2020 corrections is -3.849 eV per atom. As for the final energy: -3.648 eV/atom. As for the space group: F-43m (216).


8.
PrYIn2: optimized geometry, PBE-GGA.

Unit cell a=6.2707 b=6.2707 c=6.2707 alpha=60.00 beta=60.00 gamma=60.00
Closest atoms and distances in Å follow each position.
Fractional positions:
Pr  0.5000  0.5000  0.5000  8 In 3.84
Y  0.0000  0.0000  0.0000  8 In 3.84
In  0.2500  0.2500  0.2500  4 Pr 3.84, 4 Y 3.84
In  0.7500  0.7500  0.7500  4 Pr 3.84, 4 Y 3.84

The calculated density is 4.38 g/cm3. As for the final energy: -4.041 eV/atom. As for the space group: Fm-3m (225).